{
  "formula": "KNb8O14",
  "functional": "r²SCAN",
  "state": "relaxed",
  "lattice_angstrom": [[9.3938, 0.0000, 0.0000], [0.0000, 10.3723, 0.0000], [0.0000, 0.0000, 5.9669]],
  "species": ["K", "K", "Nb", "Nb", "Nb", "Nb", "Nb", "Nb", "Nb", "Nb", "Nb", "Nb", "Nb", "Nb", "Nb", "Nb", "Nb", "Nb", "O", "O", "O", "O", "O", "O", "O", "O", "O", "O", "O", "O", "O", "O", "O", "O", "O", "O", "O", "O", "O", "O", "O", "O", "O", "O", "O", "O"],
  "frac_coords": [[0.0000, 0.0000, 0.0000], [0.5000, 0.5000, 0.0000], [0.1117, 0.1622, 0.5000], [0.1210, 0.6653, 0.0000], [0.1281, 0.4242, 0.2358], [0.1281, 0.4242, 0.7642], [0.3719, 0.9242, 0.2358], [0.3719, 0.9242, 0.7642], [0.3790, 0.1653, 0.0000], [0.3883, 0.6622, 0.5000], [0.6117, 0.3378, 0.5000], [0.6210, 0.8347, 0.0000], [0.6281, 0.0758, 0.2358], [0.6281, 0.0758, 0.7642], [0.8719, 0.5758, 0.2358], [0.8719, 0.5758, 0.7642], [0.8790, 0.3347, 0.0000], [0.8883, 0.8378, 0.5000], [0.0000, 0.0000, 0.5000], [0.0000, 0.5000, 0.5000], [0.0047, 0.2485, 0.2498], [0.0047, 0.2485, 0.7502], [0.2342, 0.3217, 0.5000], [0.2455, 0.0892, 0.2539], [0.2455, 0.0892, 0.7461], [0.2462, 0.8425, 0.0000], [0.2538, 0.3425, 0.0000], [0.2545, 0.5892, 0.2539], [0.2545, 0.5892, 0.7461], [0.2658, 0.8217, 0.5000], [0.4953, 0.7485, 0.2498], [0.4953, 0.7485, 0.7502], [0.5000, 0.0000, 0.5000], [0.5000, 0.5000, 0.5000], [0.5047, 0.2515, 0.2498], [0.5047, 0.2515, 0.7502], [0.7342, 0.1783, 0.5000], [0.7455, 0.4108, 0.2539], [0.7455, 0.4108, 0.7461], [0.7462, 0.6575, 0.0000], [0.7538, 0.1575, 0.0000], [0.7545, 0.9108, 0.2539], [0.7545, 0.9108, 0.7461], [0.7658, 0.6783, 0.5000], [0.9953, 0.7515, 0.2498], [0.9953, 0.7515, 0.7502]],
  "m_tot_mub_per_fu": 0.14,
  "formation_enthalpy_0k_kj_per_mol_fu": -5664
}

---

{
  "formula": "KNb6S8",
  "functional": "r²SCAN",
  "state": "relaxed",
  "lattice_angstrom": [[9.7340, 0.0000, 0.0000], [-4.8670, 8.4299, 0.0000], [0.0000, 0.0000, 3.4128]],
  "species": ["K", "Nb", "Nb", "Nb", "Nb", "Nb", "Nb", "S", "S", "S", "S", "S", "S", "S", "S"],
  "frac_coords": [[0.0000, 0.0000, 0.0000], [0.1094, 0.6230, 0.2493], [0.3770, 0.4864, 0.2493], [0.4864, 0.1094, 0.7507], [0.5136, 0.8906, 0.2493], [0.6230, 0.5136, 0.7507], [0.8906, 0.3770, 0.7507], [0.0580, 0.3453, 0.2518], [0.2874, 0.9420, 0.2518], [0.3333, 0.6667, 0.7494], [0.3453, 0.2874, 0.7482], [0.6547, 0.7126, 0.2518], [0.6667, 0.3333, 0.2506], [0.7126, 0.0580, 0.7482], [0.9420, 0.6547, 0.7482]],
  "m_tot_mub_per_fu": 0.00,
  "formation_enthalpy_0k_kj_per_mol_fu": -1878
}

---

{
  "formula": "KNb6Se8",
  "functional": "r²SCAN",
  "state": "relaxed",
  "lattice_angstrom": [[10.1836, 0.0000, 0.0000], [-5.0918, 8.8193, 0.0000], [0.0000, 0.0000, 3.5207]],
  "species": ["K", "Nb", "Nb", "Nb", "Nb", "Nb", "Nb", "Se", "Se", "Se", "Se", "Se", "Se", "Se", "Se"],
  "frac_coords": [[0.0000, 0.0000, 0.0000], [0.1043, 0.6165, 0.7508], [0.3835, 0.4878, 0.7508], [0.4878, 0.1043, 0.2492], [0.5122, 0.8957, 0.7508], [0.6165, 0.5122, 0.2492], [0.8957, 0.3835, 0.2492], [0.0595, 0.3409, 0.7485], [0.2814, 0.9405, 0.7485], [0.3333, 0.6667, 0.2501], [0.3409, 0.2814, 0.2515], [0.6591, 0.7186, 0.7485], [0.6667, 0.3333, 0.7499], [0.7186, 0.0595, 0.2515], [0.9405, 0.6591, 0.2515]],
  "m_tot_mub_per_fu": 0.00,
  "formation_enthalpy_0k_kj_per_mol_fu": -1530
}

---

{
  "formula": "K3NdSi2O7",
  "functional": "r²SCAN",
  "state": "relaxed",
  "lattice_angstrom": [[10.0701, 0.0000, 0.0000], [-5.0351, 8.7210, 0.0000], [0.0000, 0.0000, 14.5979]],
  "species": ["K", "K", "K", "K", "K", "K", "K", "K", "K", "K", "K", "K", "K", "K", "K", "K", "K", "K", "Nd", "Nd", "Nd", "Nd", "Nd", "Nd", "Si", "Si", "Si", "Si", "Si", "Si", "Si", "Si", "Si", "Si", "Si", "Si", "O", "O", "O", "O", "O", "O", "O", "O", "O", "O", "O", "O", "O", "O", "O", "O", "O", "O", "O", "O", "O", "O", "O", "O", "O", "O", "O", "O", "O", "O", "O", "O", "O", "O", "O", "O", "O", "O", "O", "O", "O", "O"],
  "frac_coords": [[0.0000, 0.0000, 0.0000], [0.0000, 0.0000, 0.5000], [0.0000, 0.3307, 0.0888], [0.0000, 0.3307, 0.4112], [0.0000, 0.6693, 0.5888], [0.0000, 0.6693, 0.9112], [0.3307, 0.0000, 0.0888], [0.3307, 0.0000, 0.4112], [0.3307, 0.3307, 0.5888], [0.3307, 0.3307, 0.9112], [0.3333, 0.6667, 0.2500], [0.3333, 0.6667, 0.7500], [0.6667, 0.3333, 0.2500], [0.6667, 0.3333, 0.7500], [0.6693, 0.0000, 0.5888], [0.6693, 0.0000, 0.9112], [0.6693, 0.6693, 0.0888], [0.6693, 0.6693, 0.4112], [0.0000, 0.0000, 0.2500], [0.0000, 0.0000, 0.7500], [0.3333, 0.6667, 0.0000], [0.3333, 0.6667, 0.5000], [0.6667, 0.3333, 0.0000], [0.6667, 0.3333, 0.5000], [0.0000, 0.3401, 0.6438], [0.0000, 0.3401, 0.8562], [0.0000, 0.6599, 0.1438], [0.0000, 0.6599, 0.3562], [0.3401, 0.0000, 0.6438], [0.3401, 0.0000, 0.8562], [0.3401, 0.3401, 0.1438], [0.3401, 0.3401, 0.3562], [0.6599, 0.0000, 0.1438], [0.6599, 0.0000, 0.3562], [0.6599, 0.6599, 0.6438], [0.6599, 0.6599, 0.8562], [0.0000, 0.1790, 0.6445], [0.0000, 0.1790, 0.8555], [0.0000, 0.4007, 0.7500], [0.0000, 0.5993, 0.2500], [0.0000, 0.8210, 0.1445], [0.0000, 0.8210, 0.3555], [0.1528, 0.4741, 0.5946], [0.1528, 0.4741, 0.9054], [0.1528, 0.6787, 0.0946], [0.1528, 0.6787, 0.4054], [0.1790, 0.0000, 0.6445], [0.1790, 0.0000, 0.8555], [0.1790, 0.1790, 0.1445], [0.1790, 0.1790, 0.3555], [0.3213, 0.4741, 0.0946], [0.3213, 0.4741, 0.4054], [0.3213, 0.8472, 0.5946], [0.3213, 0.8472, 0.9054], [0.4007, 0.0000, 0.7500], [0.4007, 0.4007, 0.2500], [0.4741, 0.1528, 0.5946], [0.4741, 0.1528, 0.9054], [0.4741, 0.3213, 0.0946], [0.4741, 0.3213, 0.4054], [0.5259, 0.6787, 0.5946], [0.5259, 0.6787, 0.9054], [0.5259, 0.8472, 0.0946], [0.5259, 0.8472, 0.4054], [0.5993, 0.0000, 0.2500], [0.5993, 0.5993, 0.7500], [0.6787, 0.1528, 0.0946], [0.6787, 0.1528, 0.4054], [0.6787, 0.5259, 0.5946], [0.6787, 0.5259, 0.9054], [0.8210, 0.0000, 0.1445], [0.8210, 0.0000, 0.3555], [0.8210, 0.8210, 0.6445], [0.8210, 0.8210, 0.8555], [0.8472, 0.3213, 0.5946], [0.8472, 0.3213, 0.9054], [0.8472, 0.5259, 0.0946], [0.8472, 0.5259, 0.4054]],
  "m_tot_mub_per_fu": 0.00,
  "formation_enthalpy_0k_kj_per_mol_fu": -3649
}

---

{
  "formula": "KNdTe4",
  "functional": "r²SCAN",
  "state": "relaxed",
  "lattice_angstrom": [[6.9684, 0.0000, 0.0000], [0.0000, 6.9684, 0.0000], [0.0000, 0.0000, 8.8618]],
  "species": ["K", "K", "Nd", "Nd", "Te", "Te", "Te", "Te", "Te", "Te", "Te", "Te"],
  "frac_coords": [[0.2500, 0.2500, 0.0000], [0.7500, 0.7500, 0.0000], [0.2500, 0.2500, 0.5000], [0.7500, 0.7500, 0.5000], [0.1079, 0.6079, 0.2848], [0.1079, 0.8921, 0.7151], [0.3921, 0.6079, 0.7151], [0.3921, 0.8921, 0.2848], [0.6079, 0.1079, 0.7151], [0.6079, 0.3921, 0.2848], [0.8921, 0.1079, 0.2848], [0.8921, 0.3921, 0.7151]],
  "m_tot_mub_per_fu": 0.00,
  "formation_enthalpy_0k_kj_per_mol_fu": -659
}

---

{
  "formula": "KNd3Te8",
  "functional": "r²SCAN",
  "state": "relaxed",
  "lattice_angstrom": [[14.2089, 0.0000, 0.0000], [0.0000, 12.9638, 0.0000], [-1.4576, 0.0000, 8.9042]],
  "species": ["K", "K", "K", "K", "Nd", "Nd", "Nd", "Nd", "Nd", "Nd", "Nd", "Nd", "Nd", "Nd", "Nd", "Nd", "Te", "Te", "Te", "Te", "Te", "Te", "Te", "Te", "Te", "Te", "Te", "Te", "Te", "Te", "Te", "Te", "Te", "Te", "Te", "Te", "Te", "Te", "Te", "Te", "Te", "Te", "Te", "Te", "Te", "Te", "Te", "Te"],
  "frac_coords": [[0.0348, 0.0921, 0.2576], [0.0348, 0.4079, 0.7576], [0.9652, 0.5921, 0.2424], [0.9652, 0.9079, 0.7424], [0.3461, 0.7491, 0.0857], [0.3461, 0.7509, 0.5857], [0.3499, 0.0848, 0.0794], [0.3499, 0.4152, 0.5794], [0.3516, 0.0841, 0.5944], [0.3516, 0.4159, 0.0944], [0.6484, 0.5841, 0.9056], [0.6484, 0.9159, 0.4056], [0.6501, 0.5848, 0.4206], [0.6501, 0.9152, 0.9206], [0.6539, 0.2491, 0.4143], [0.6539, 0.2509, 0.9143], [0.1617, 0.7245, 0.7883], [0.1617, 0.7755, 0.2883], [0.1681, 0.5805, 0.5506], [0.1681, 0.9195, 0.0506], [0.1688, 0.5794, 0.0289], [0.1688, 0.9206, 0.5289], [0.1712, 0.0965, 0.7901], [0.1712, 0.4035, 0.2901], [0.1732, 0.2495, 0.5409], [0.1732, 0.2505, 0.0409], [0.4129, 0.5800, 0.8503], [0.4129, 0.9200, 0.3503], [0.4144, 0.5854, 0.3551], [0.4144, 0.9146, 0.8551], [0.4181, 0.2454, 0.3547], [0.4181, 0.2546, 0.8547], [0.5819, 0.7454, 0.1453], [0.5819, 0.7546, 0.6453], [0.5856, 0.0854, 0.1449], [0.5856, 0.4146, 0.6449], [0.5871, 0.0800, 0.6497], [0.5871, 0.4200, 0.1497], [0.8268, 0.7495, 0.9591], [0.8268, 0.7505, 0.4591], [0.8288, 0.5965, 0.7099], [0.8288, 0.9035, 0.2099], [0.8312, 0.0794, 0.4711], [0.8312, 0.4206, 0.9711], [0.8319, 0.0805, 0.9494], [0.8319, 0.4195, 0.4494], [0.8383, 0.2245, 0.7117], [0.8383, 0.2755, 0.2117]],
  "m_tot_mub_per_fu": 0.00,
  "formation_enthalpy_0k_kj_per_mol_fu": -1549
}

---

{
  "formula": "K4Ni3O6",
  "functional": "r²SCAN",
  "state": "relaxed",
  "lattice_angstrom": [[4.4586, -3.0328, 0.0000], [4.4586, 3.0328, 0.0000], [-0.1482, 0.0000, 7.8112]],
  "species": ["K", "K", "K", "K", "Ni", "Ni", "Ni", "O", "O", "O", "O", "O", "O"],
  "frac_coords": [[0.1526, 0.1526, 0.3948], [0.1810, 0.1810, 0.8738], [0.8190, 0.8190, 0.1262], [0.8474, 0.8474, 0.6052], [0.4637, 0.4637, 0.1687], [0.5000, 0.5000, 0.5000], [0.5363, 0.5363, 0.8313], [0.2345, 0.6347, 0.3401], [0.3016, 0.6984, 0.0000], [0.3653, 0.7655, 0.6599], [0.6347, 0.2345, 0.3401], [0.6984, 0.3016, 0.0000], [0.7655, 0.3653, 0.6599]],
  "m_tot_mub_per_fu": 2.00,
  "formation_enthalpy_0k_kj_per_mol_fu": -1764
}

---

{
  "formula": "K3Ni2O4",
  "functional": "r²SCAN",
  "state": "relaxed",
  "lattice_angstrom": [[5.3802, 0.0000, 0.0000], [0.0000, 10.5433, 0.0000], [-2.0621, 0.0000, 5.0492]],
  "species": ["K", "K", "K", "K", "K", "K", "Ni", "Ni", "Ni", "Ni", "O", "O", "O", "O", "O", "O", "O", "O"],
  "frac_coords": [[0.1540, 0.0000, 0.3513], [0.1540, 0.3596, 0.3515], [0.2097, 0.6798, 0.2904], [0.7903, 0.1798, 0.7096], [0.8460, 0.5000, 0.6487], [0.8460, 0.8596, 0.6485], [0.4381, 0.1797, 0.0700], [0.4994, 0.9299, 0.9992], [0.5006, 0.4299, 0.0008], [0.5619, 0.6797, 0.9300], [0.2406, 0.0482, 0.8640], [0.2434, 0.3109, 0.8645], [0.3614, 0.5477, 0.7278], [0.3610, 0.8120, 0.7263], [0.6386, 0.0477, 0.2722], [0.6390, 0.3120, 0.2737], [0.7566, 0.8109, 0.1355], [0.7594, 0.5482, 0.1360]],
  "m_tot_mub_per_fu": 1.00,
  "formation_enthalpy_0k_kj_per_mol_fu": -1228
}

---

{
  "formula": "K2NpO4",
  "functional": "r²SCAN",
  "state": "relaxed",
  "lattice_angstrom": [[-2.1459, 2.1459, 6.5871], [2.1459, -2.1459, 6.5871], [2.1459, 2.1459, -6.5871]],
  "species": ["K", "K", "Np", "O", "O", "O", "O"],
  "frac_coords": [[0.1510, 0.1510, 0.0000], [0.8490, 0.8490, 0.0000], [0.5000, 0.5000, 0.0000], [0.0000, 0.5000, 0.5000], [0.3547, 0.3547, 0.0000], [0.5000, 0.0000, 0.5000], [0.6453, 0.6453, 0.0000]],
  "m_tot_mub_per_fu": 1.00,
  "formation_enthalpy_0k_kj_per_mol_fu": -1871
}

---

{
  "formula": "K2O",
  "functional": "r²SCAN",
  "state": "relaxed",
  "lattice_angstrom": [[5.8488, 0.0000, 0.0000], [0.0000, 6.2203, 0.0000], [0.0000, 0.0000, 4.2088]],
  "species": ["K", "K", "K", "K", "O", "O"],
  "frac_coords": [[0.1704, 0.2044, 0.0000], [0.3296, 0.7044, 0.5000], [0.6704, 0.2956, 0.5000], [0.8296, 0.7956, 0.0000], [0.0000, 0.0000, 0.5000], [0.5000, 0.5000, 0.0000]],
  "m_tot_mub_per_fu": 0.00,
  "formation_enthalpy_0k_kj_per_mol_fu": -320
}

---

{
  "formula": "K2O",
  "functional": "r²SCAN",
  "state": "relaxed",
  "lattice_angstrom": [[3.6834, -2.1311, 0.0000], [3.6834, 2.1311, 0.0000], [-2.5887, 0.0000, 9.2719]],
  "species": ["K", "K", "K", "K", "O", "O"],
  "frac_coords": [[0.1157, 0.1157, 0.3301], [0.2966, 0.2966, 0.8957], [0.7034, 0.7034, 0.1043], [0.8843, 0.8843, 0.6699], [0.4080, 0.4080, 0.2125], [0.5920, 0.5920, 0.7875]],
  "m_tot_mub_per_fu": 0.00,
  "formation_enthalpy_0k_kj_per_mol_fu": -323
}

---

{
  "formula": "K2O",
  "functional": "r²SCAN",
  "state": "relaxed",
  "lattice_angstrom": [[4.5157, 0.0000, 0.0000], [0.0000, 6.3750, 0.0000], [0.0000, 0.0000, 4.5020]],
  "species": ["K", "K", "K", "K", "O", "O"],
  "frac_coords": [[0.0025, 0.2499, 0.0000], [0.4975, 0.7499, 0.5000], [0.5025, 0.2501, 0.5000], [0.9975, 0.7501, 0.0000], [0.0000, 0.0000, 0.5000], [0.5000, 0.5000, 0.0000]],
  "m_tot_mub_per_fu": 0.00,
  "formation_enthalpy_0k_kj_per_mol_fu": -341
}